--- A ---
DFT (PBE-GGA) results for CaSn2O4 after structural relaxation.

abc: 6.341 11.958 6.941
angles: 90.00 90.00 90.00
Element x y z (fractional)
Ca: 0.250 0.250 0.053
Ca: 0.250 0.750 0.702
Ca: 0.750 0.250 0.298
Ca: 0.750 0.750 0.947
Sn: 0.000 0.000 0.000
Sn: 0.000 0.500 0.000
Sn: 0.250 0.045 0.399
Sn: 0.250 0.455 0.399
Sn: 0.500 0.000 0.000
Sn: 0.500 0.500 0.000
Sn: 0.750 0.545 0.601
Sn: 0.750 0.955 0.601
O: 0.013 0.125 0.223
O: 0.013 0.375 0.223
O: 0.250 0.086 0.874
O: 0.250 0.414 0.874
O: 0.250 0.576 0.163
O: 0.250 0.924 0.163
O: 0.487 0.125 0.223
O: 0.487 0.375 0.223
O: 0.513 0.625 0.777
O: 0.513 0.875 0.777
O: 0.750 0.076 0.837
O: 0.750 0.424 0.837
O: 0.750 0.586 0.126
O: 0.750 0.914 0.126
O: 0.987 0.625 0.777
O: 0.987 0.875 0.777

## Properties
Symmetry: Pmmn

--- B ---
DFT (PBE-GGA) results for CaSn2O4 after structural relaxation.

abc: 6.593 7.017 16.779
angles: 85.85 89.72 62.65
Element x y z (fractional)
Ca: 0.000 0.000 0.000
Ca: 0.003 0.012 0.625
Ca: 0.334 0.332 0.665
Ca: 0.638 0.697 0.337
Ca: 0.650 0.689 0.963
Ca: 0.980 0.055 0.257
Sn: 0.159 0.682 0.456
Sn: 0.161 0.177 0.453
Sn: 0.292 0.396 0.925
Sn: 0.304 0.370 0.295
Sn: 0.320 0.855 0.797
Sn: 0.476 0.538 0.134
Sn: 0.497 0.006 0.122
Sn: 0.639 0.690 0.594
Sn: 0.664 0.152 0.467
Sn: 0.817 0.856 0.794
Sn: 0.841 0.318 0.788
Sn: 0.975 0.541 0.131
O: 0.023 0.469 0.371
O: 0.024 0.015 0.386
O: 0.121 0.282 0.213
O: 0.135 0.729 0.732
O: 0.154 0.149 0.723
O: 0.160 0.661 0.205
O: 0.266 0.463 0.060
O: 0.311 0.302 0.532
O: 0.317 0.881 0.529
O: 0.351 0.831 0.061
O: 0.409 0.550 0.361
O: 0.411 0.069 0.355
O: 0.427 0.600 0.886
O: 0.518 0.960 0.861
O: 0.592 0.284 0.222
O: 0.609 0.768 0.724
O: 0.652 0.688 0.195
O: 0.698 0.150 0.723
O: 0.782 0.891 0.565
O: 0.790 0.404 0.070
O: 0.813 0.829 0.058
O: 0.871 0.276 0.521
O: 0.960 0.605 0.885
O: 0.996 0.005 0.862

## Properties
Symmetry: P1

--- C ---
DFT (PBE-GGA) results for CaSn2O4 after structural relaxation.

abc: 6.842 6.842 6.842
angles: 60.00 60.00 60.00
Element x y z (fractional)
Ca: 0.125 0.125 0.125
Ca: 0.875 0.875 0.875
Sn: 0.000 0.500 0.500
Sn: 0.500 0.000 0.500
Sn: 0.500 0.500 0.000
Sn: 0.500 0.500 0.500
O: 0.263 0.263 0.263
O: 0.263 0.263 0.711
O: 0.263 0.711 0.263
O: 0.289 0.737 0.737
O: 0.711 0.263 0.263
O: 0.737 0.289 0.737
O: 0.737 0.737 0.289
O: 0.737 0.737 0.737

## Properties
Symmetry: Fd-3m

--- D ---
DFT (PBE-GGA) results for CaSn2O4 after structural relaxation.

abc: 6.909 6.909 6.909
angles: 122.55 121.47 86.56
Element x y z (fractional)
Ca: 0.359 0.109 0.250
Ca: 0.641 0.891 0.750
Sn: 0.000 0.000 0.500
Sn: 0.000 0.500 0.000
Sn: 0.000 0.500 0.500
Sn: 0.500 0.500 0.000
O: 0.205 0.199 0.493
O: 0.205 0.712 0.007
O: 0.212 0.749 0.463
O: 0.214 0.251 0.963
O: 0.786 0.749 0.037
O: 0.788 0.251 0.537
O: 0.795 0.288 0.993
O: 0.795 0.801 0.507

## Properties
Symmetry: Imma

Energy above the most stable structure, in meV per atom: A 0; B 24; C 179; D 91

--- A ---
DFT (PBE-GGA) results for Mg14FeC after structural relaxation.

abc: 6.173 6.173 9.880
angles: 90.00 90.00 120.00
Element x y z (fractional)
Mg: 0.000 0.000 0.249
Mg: 0.000 0.000 0.751
Mg: 0.015 0.507 0.251
Mg: 0.015 0.507 0.749
Mg: 0.331 0.166 0.500
Mg: 0.334 0.167 0.000
Mg: 0.493 0.507 0.251
Mg: 0.493 0.507 0.749
Mg: 0.493 0.985 0.251
Mg: 0.493 0.985 0.749
Mg: 0.833 0.167 0.000
Mg: 0.833 0.666 0.000
Mg: 0.834 0.166 0.500
Mg: 0.834 0.669 0.500
Fe: 0.333 0.667 0.000
C: 0.333 0.667 0.500

## Properties
Symmetry: P-6m2

--- B ---
DFT (PBE-GGA) results for Mg14FeC after structural relaxation.

abc: 8.744 6.262 6.262
angles: 75.40 90.00 90.00
Element x y z (fractional)
Mg: 0.000 0.000 0.000
Mg: 0.000 0.458 0.458
Mg: 0.000 0.527 0.934
Mg: 0.000 0.934 0.527
Mg: 0.235 0.216 0.216
Mg: 0.287 0.830 0.830
Mg: 0.322 0.339 0.723
Mg: 0.322 0.723 0.339
Mg: 0.500 0.084 0.484
Mg: 0.500 0.484 0.084
Mg: 0.678 0.339 0.723
Mg: 0.678 0.723 0.339
Mg: 0.713 0.830 0.830
Mg: 0.765 0.216 0.216
Fe: 0.500 0.034 0.034
C: 0.500 0.452 0.452

## Properties
Symmetry: Amm2

Energy above the most stable structure, in meV per atom: A 116; B 0

--- A ---
DFT (PBE-GGA) results for TeMoWSeS2 after structural relaxation.

abc: 3.306 3.306 37.630
angles: 90.00 90.00 120.00
Element x y z (fractional)
Te: 0.000 0.000 0.000
Te: 0.000 0.000 0.102
Mo: 0.667 0.333 0.051
Mo: 0.667 0.333 0.427
W: 0.000 0.000 0.239
W: 0.000 0.000 0.614
Se: 0.667 0.333 0.194
Se: 0.667 0.333 0.284
S: 0.000 0.000 0.386
S: 0.000 0.000 0.467
S: 0.667 0.333 0.574
S: 0.667 0.333 0.655

## Properties
Symmetry: P3m1

--- B ---
DFT (PBE-GGA) results for TeMoWSeS2 after structural relaxation.

abc: 3.310 3.310 37.658
angles: 90.00 90.00 120.00
Element x y z (fractional)
Te: 0.000 0.000 0.000
Te: 0.000 0.000 0.102
Mo: 0.000 0.000 0.239
Mo: 0.000 0.000 0.863
W: 0.333 0.667 0.051
W: 0.333 0.667 0.427
Se: 0.000 0.000 0.382
Se: 0.000 0.000 0.472
S: 0.333 0.667 0.198
S: 0.333 0.667 0.280
S: 0.333 0.667 0.823
S: 0.333 0.667 0.904

## Properties
Symmetry: P3m1

Energy above the most stable structure, in meV per atom: A 0; B 36

--- A ---
DFT (PBE-GGA) results for MgNb2 after structural relaxation.

abc: 3.051 3.051 7.922
angles: 103.37 103.37 54.02
Element x y z (fractional)
Mg: 0.000 0.000 0.000
Nb: 0.173 0.173 0.663
Nb: 0.827 0.827 0.337

## Properties
Symmetry: C2/m

--- B ---
DFT (PBE-GGA) results for MgNb2 after structural relaxation.

abc: 7.652 7.509 2.856
angles: 81.97 76.34 21.69
Element x y z (fractional)
Mg: 0.000 0.000 0.000
Nb: 0.327 0.327 0.673
Nb: 0.673 0.673 0.327

## Properties
Symmetry: Fmmm

Energy above the most stable structure, in meV per atom: A 113; B 0

--- A ---
DFT (PBE-GGA) results for Mo3WSe4S4 after structural relaxation.

abc: 3.257 3.257 41.627
angles: 90.00 90.00 120.00
Element x y z (fractional)
Mo: 0.000 0.000 0.000
Mo: 0.000 0.000 0.374
Mo: 0.333 0.667 0.188
W: 0.333 0.667 0.571
Se: 0.000 0.000 0.530
Se: 0.000 0.000 0.612
Se: 0.333 0.667 0.333
Se: 0.333 0.667 0.415
S: 0.000 0.000 0.151
S: 0.000 0.000 0.225
S: 0.333 0.667 0.037
S: 0.333 0.667 0.963

## Properties
Symmetry: P3m1

--- B ---
DFT (PBE-GGA) results for Mo3WSe4S4 after structural relaxation.

abc: 3.254 3.254 36.874
angles: 90.00 90.00 120.00
Element x y z (fractional)
Mo: 0.000 0.000 0.000
Mo: 0.000 0.000 0.376
Mo: 0.333 0.667 0.188
W: 0.333 0.667 0.564
Se: 0.000 0.000 0.142
Se: 0.000 0.000 0.234
Se: 0.333 0.667 0.330
Se: 0.333 0.667 0.422
S: 0.000 0.000 0.522
S: 0.000 0.000 0.606
S: 0.333 0.667 0.042
S: 0.333 0.667 0.958

## Properties
Symmetry: P3m1

Energy above the most stable structure, in meV per atom: A 15; B 0

--- A ---
DFT (PBE-GGA) results for K2PtO6 after structural relaxation.

abc: 4.946 4.946 4.946
angles: 83.34 83.34 83.34
Element x y z (fractional)
K: 0.151 0.151 0.151
K: 0.849 0.849 0.849
Pt: 0.500 0.500 0.500
O: 0.093 0.426 0.599
O: 0.401 0.907 0.574
O: 0.426 0.599 0.093
O: 0.574 0.401 0.907
O: 0.599 0.093 0.426
O: 0.907 0.574 0.401

## Properties
Symmetry: R-3

--- B ---
DFT (PBE-GGA) results for K2PtO6 after structural relaxation.

abc: 5.690 5.690 5.690
angles: 70.03 70.03 70.03
Element x y z (fractional)
K: 0.220 0.220 0.220
K: 0.780 0.780 0.780
Pt: 0.500 0.500 0.500
O: 0.224 0.682 0.338
O: 0.318 0.662 0.776
O: 0.338 0.224 0.682
O: 0.662 0.776 0.318
O: 0.682 0.338 0.224
O: 0.776 0.318 0.662

## Properties
Symmetry: R-3

Energy above the most stable structure, in meV per atom: A 0; B 250

--- A ---
DFT (PBE-GGA) results for Ca2SiO4 after structural relaxation.

abc: 5.772 8.295 9.211
angles: 90.00 118.22 90.00
Element x y z (fractional)
Ca: 0.082 0.158 0.373
Ca: 0.082 0.342 0.873
Ca: 0.353 0.012 0.137
Ca: 0.353 0.488 0.637
Ca: 0.647 0.512 0.363
Ca: 0.647 0.988 0.863
Ca: 0.918 0.658 0.127
Ca: 0.918 0.842 0.627
Si: 0.259 0.695 0.963
Si: 0.259 0.805 0.463
Si: 0.741 0.195 0.537
Si: 0.741 0.305 0.037
O: 0.016 0.679 0.435
O: 0.016 0.821 0.935
O: 0.171 0.603 0.788
O: 0.171 0.897 0.288
O: 0.288 0.563 0.105
O: 0.288 0.937 0.605
O: 0.474 0.193 0.977
O: 0.474 0.307 0.477
O: 0.526 0.693 0.523
O: 0.526 0.807 0.023
O: 0.712 0.063 0.395
O: 0.712 0.437 0.895
O: 0.829 0.103 0.712
O: 0.829 0.397 0.212
O: 0.984 0.179 0.065
O: 0.984 0.321 0.565

## Properties
Symmetry: P2_1/c

--- B ---
DFT (PBE-GGA) results for Ca2SiO4 after structural relaxation.

abc: 6.985 6.985 5.577
angles: 90.55 90.55 134.81
Element x y z (fractional)
Ca: 0.066 0.934 0.500
Ca: 0.199 0.729 0.006
Ca: 0.729 0.199 0.506
Ca: 0.934 0.066 0.000
Si: 0.311 0.572 0.507
Si: 0.572 0.311 0.007
O: 0.119 0.293 0.660
O: 0.169 0.686 0.573
O: 0.245 0.494 0.220
O: 0.293 0.119 0.160
O: 0.494 0.245 0.720
O: 0.632 0.808 0.582
O: 0.686 0.169 0.073
O: 0.808 0.632 0.082

## Properties
Symmetry: Cc

Energy above the most stable structure, in meV per atom: A 0; B 166